w.
Material: BaNdMgCo2O6
Method: DFT, GGA+U
State: relaxed

Total magnetization: 5.70 μB per formula unit

```
11
Lattice="3.7784 0.0000 0.0000 0.0000 5.5704 0.0000 0.0000 0.0000 7.7857" Properties=species:S:1:pos:R:3 pbc="T T T"
Ba 0.0000 0.0000 0.0000
Nd 0.0000 0.0000 3.8929
Mg 0.0000 2.7852 3.8929
Co 1.8892 2.7852 1.8196
Co 1.8892 2.7852 5.9661
O 0.0000 2.7852 2.0070
O 0.0000 2.7852 5.7787
O 1.8892 0.0000 2.3325
O 1.8892 0.0000 5.4532
O 1.8892 2.7852 0.0000
O 1.8892 2.7852 3.8929
```

x.
Material: BaNdMgCo2O6
Method: DFT, GGA+U
State: relaxed

Total magnetization: 6.20 μB per formula unit

```
11
Lattice="3.7744 0.0000 0.0000 0.0000 3.9375 0.0000 0.0000 0.0000 11.2581" Properties=species:S:1:pos:R:3 pbc="T T T"
Ba 0.0000 0.0000 0.0000
Nd 0.0000 0.0000 7.5561
Mg 0.0000 0.0000 3.4627
Co 1.8872 1.9687 2.4047
Co 1.8872 1.9687 8.9853
O 0.0000 1.9687 3.3221
O 0.0000 1.9687 9.1419
O 1.8872 0.0000 2.8294
O 1.8872 0.0000 9.0404
O 1.8872 1.9687 0.5448
O 1.8872 1.9687 6.9831
```

x takes first place; second place is 0.324 eV/atom up.

w.
Material: Mn6O5F7
Method: DFT, GGA+U
State: relaxed

Total magnetization: 25.00 μB per formula unit

```
18
Lattice="4.7278 0.0000 0.0000 0.1892 5.7201 0.0000 0.0841 0.5623 7.9036" Properties=species:S:1:pos:R:3 pbc="T T T"
Mn 0.0000 0.0000 0.0000
Mn 0.2208 3.9918 2.6165
Mn 0.2988 2.2552 4.9568
Mn 2.4136 1.0413 2.4025
Mn 2.6662 3.3807 7.8038
Mn 2.8890 5.0653 5.2630
O 1.1552 2.3570 3.2435
O 1.6587 1.2242 0.6149
O 3.6178 4.9681 7.0673
O 4.0969 5.5899 1.8257
O 4.1375 3.8487 4.3651
F 1.1179 0.6041 5.8777
F 1.2163 4.0547 0.8741
F 1.7049 3.4370 6.0597
F 1.8031 5.1371 3.5084
F 3.4087 1.0578 4.2409
F 3.5865 2.7396 1.5880
F 4.0671 2.1676 6.7425
```

x.
Material: Mn6O5F7
Method: DFT, GGA+U
State: relaxed

Total magnetization: 25.00 μB per formula unit

```
36
Lattice="5.1524 0.0000 0.0000 -0.0095 5.7640 0.0000 -1.1709 -0.0253 14.5591" Properties=species:S:1:pos:R:3 pbc="T T T"
Mn 0.0000 0.0000 0.0000
Mn -0.5710 2.0031 7.3336
Mn -0.5844 5.2010 9.6399
Mn 0.0591 3.2604 2.3891
Mn -0.5126 2.0106 12.0006
Mn 0.0964 0.3100 4.8982
Mn 2.5336 2.0469 0.0384
Mn 2.0085 0.2350 7.3321
Mn 2.4945 5.2975 2.3562
Mn 2.0122 3.4913 9.6445
Mn 2.5219 2.1392 4.8625
Mn 2.0096 0.2482 11.9191
O 0.3305 0.5970 8.3366
O 0.9582 4.7790 1.3796
O 0.4266 0.6843 13.1131
O 1.1027 1.5780 6.1037
O 1.0566 4.8577 10.6155
O 1.6450 0.7654 3.7885
O 3.3851 0.5773 0.9905
O 2.9290 4.8629 8.6334
O 3.6833 0.6873 6.1969
O 3.7051 0.5767 11.0029
F 0.7957 1.8056 1.0873
F 0.2137 3.4150 8.4817
F 0.3519 3.2422 13.3366
F 1.0725 4.6640 6.0355
F 1.8148 3.6520 3.5466
F 1.2764 2.0695 10.8501
F 2.8179 2.0537 8.5283
F 3.4788 3.4461 1.2274
F 2.8773 4.7408 13.1872
F 2.9468 1.6927 13.2535
F 3.5957 3.2599 6.1400
F 4.2174 5.0141 3.5097
F 4.2146 2.0633 3.7560
F 3.8150 3.4199 10.8421
```

y.
Material: Mn6O5F7
Method: DFT, GGA+U
State: relaxed

Total magnetization: 25.00 μB per formula unit

```
18
Lattice="5.7159 0.0000 0.0000 1.3798 5.6244 0.0000 1.9864 1.5081 6.7037" Properties=species:S:1:pos:R:3 pbc="T T T"
Mn 0.0000 0.0000 0.0000
Mn 2.3130 6.1439 3.3137
Mn 2.6488 2.1552 1.1106
Mn 3.6985 2.9324 4.3772
Mn 5.2691 4.2738 2.2223
Mn 6.4781 5.1085 5.5884
O 1.0778 0.7839 1.3717
O 3.6620 4.4574 3.3022
O 4.2515 3.4613 0.8010
O 6.4533 5.0706 3.6126
O 8.0259 6.2239 5.3080
F 1.2525 3.8592 1.1509
F 2.4586 1.8415 3.1746
F 3.7052 1.2875 5.5259
F 4.8792 3.8794 5.7290
F 4.0207 0.4715 1.0414
F 5.3285 2.3585 3.3517
F 7.7767 3.2855 5.5728
```

y takes first place; second place is 0.006 eV/atom up.

w.
Material: Mn6O5F7
Method: DFT, GGA+U
State: relaxed

Total magnetization: 25.00 μB per formula unit

```
18
Lattice="4.6488 0.0000 0.0000 0.1310 5.7035 0.0000 0.1208 0.4243 7.9390" Properties=species:S:1:pos:R:3 pbc="T T T"
Mn 0.0000 0.0000 0.0000
Mn 0.1414 3.8234 2.3778
Mn 2.3630 0.9964 2.4475
Mn 2.5101 4.9640 5.0836
Mn 2.6214 3.0402 7.5469
Mn 4.6652 2.0637 4.8953
O 1.0424 5.4103 1.6727
O 1.5464 0.8875 4.2640
O 3.2447 1.0503 0.6627
O 3.3909 3.3342 5.7365
O 3.8900 2.2606 3.1314
F 0.9523 2.0210 6.7610
F 1.1445 3.7972 4.1990
F 1.5486 4.9037 6.9882
F 1.4320 2.6480 1.4388
F 3.5007 5.0289 3.2722
F 3.7777 3.9234 0.5787
F 3.7934 0.4063 6.0400
```

x.
Material: Mn6O5F7
Method: DFT, GGA+U
State: relaxed

Total magnetization: 25.00 μB per formula unit

```
18
Lattice="4.7745 -3.1852 0.0000 4.7745 3.1852 0.0000 -3.4811 0.0000 7.1026" Properties=species:S:1:pos:R:3 pbc="T T T"
Mn 0.0000 0.0000 0.0000
Mn 0.2288 0.1848 5.8603
Mn 2.0349 0.1840 2.3779
Mn 4.0332 0.1840 4.7248
Mn 5.8392 0.1848 1.2424
Mn 3.0340 -2.9996 3.5513
O 2.0393 2.1151 2.3904
O 4.7745 1.3029 0.0000
O 4.0288 2.1151 4.7123
O 2.0456 -1.7370 2.3953
O 4.0224 -1.7370 4.7073
F 0.0053 0.1601 2.0482
F 2.0709 0.1416 0.2806
F 1.9980 0.1617 4.4707
F 4.0700 0.1617 2.6319
F 4.7745 -1.1521 0.0000
F 3.9971 0.1416 6.8221
F 6.0627 0.1601 5.0544
```

x takes first place; second place is 0.029 eV/atom up.

w.
Material: LiMnP3O9
Method: DFT, GGA+U
State: relaxed

Largest piezoelectric modulus: 0.70 C/m2
Total magnetization: 5.00 μB per formula unit

```
56
Lattice="5.3937 0.0000 0.0000 0.0000 10.3049 0.0000 0.0000 0.0000 11.7421" Properties=species:S:1:pos:R:3 pbc="T T T"
Li 0.3970 0.3904 4.2704
Li 2.2999 9.9145 10.1415
Li 3.0938 4.7620 7.4717
Li 4.9968 5.5429 1.6006
Mn 0.5910 4.0243 4.8244
Mn 2.1058 6.2806 10.6955
Mn 3.2879 1.1282 6.9177
Mn 4.8027 9.1767 1.0466
P 0.4971 2.9393 8.0198
P 0.6342 9.5124 7.3099
P 0.6501 6.5932 7.4443
P 2.0468 3.7117 1.5733
P 2.0627 0.7925 1.4389
P 2.1997 7.3655 2.1488
P 3.1940 2.2131 3.7223
P 3.3310 5.9449 4.4322
P 3.3469 8.8641 4.2978
P 4.7437 1.4408 10.1689
P 4.7595 4.3600 10.3033
P 4.8966 8.0918 9.5933
O 0.0664 5.5668 6.5215
O 0.0834 5.2823 11.2516
O 0.3938 4.1691 9.0583
O 0.5054 1.7105 9.0505
O 0.6750 8.0316 6.6753
O 0.7199 0.3746 1.9846
O 0.7463 3.9445 2.2835
O 0.7485 8.0541 10.4548
O 0.8581 7.3100 1.4718
O 1.8387 2.9948 7.3429
O 1.9484 2.2508 4.5838
O 1.9505 6.3604 8.1546
O 1.9769 9.9303 7.8556
O 2.0218 2.2733 0.8043
O 2.1915 8.5944 3.1794
O 2.3030 6.1358 3.1872
O 2.6134 5.0226 5.3806
O 2.6304 4.7381 0.6504
O 2.7633 9.8905 5.2206
O 2.7803 10.1750 0.4905
O 3.0907 0.9833 2.6838
O 3.2022 3.4419 2.6917
O 3.3719 7.4258 5.0668
O 3.4168 4.7778 9.7575
O 3.4432 1.2079 9.4586
O 3.4453 7.4033 1.2873
O 3.5550 8.1473 10.2703
O 4.5356 2.1576 4.3992
O 4.6453 2.9016 7.1583
O 4.6474 9.0969 3.5875
O 4.6738 5.5270 3.8865
O 4.7187 2.8791 10.9378
O 4.8883 6.8629 8.5627
O 4.9999 9.3216 8.5549
O 5.3103 0.1298 6.3615
O 5.3273 0.4144 11.0917
```

x.
Material: LiMnP3O9
Method: DFT, GGA+U
State: relaxed

Total magnetization: 5.00 μB per formula unit

```
84
Lattice="9.8968 0.0000 0.0000 -1.4217 10.9802 0.0000 -4.2246 -5.4660 9.9560" Properties=species:S:1:pos:R:3 pbc="T T T"
Li 0.0000 0.0000 0.0000
Li -1.0573 5.5331 1.8976
Li 0.1139 -2.7372 5.1713
Li -0.6120 2.7588 9.9005
Li 3.8704 5.5153 3.1793
Li 4.9193 -0.0127 5.1747
Mn -2.7459 1.1646 7.4324
Mn -3.4903 6.6567 7.6214
Mn 1.9029 1.3690 4.1475
Mn 1.2713 6.8408 4.4200
Mn 6.2059 6.8397 0.6937
Mn 6.8442 1.3618 0.9750
P -4.2036 -2.6753 9.7500
P -1.0205 -0.1557 3.1139
P -0.8707 8.4722 2.0819
P -1.6107 5.1335 5.3249
P -3.1458 3.8274 9.7935
P 1.4432 4.2583 2.0514
P 0.0881 2.8251 6.4084
P -0.8835 -0.3533 9.7278
P 0.7845 -2.6842 8.6505
P 3.9284 -0.1504 1.9941
P 2.2934 -1.3926 6.3919
P 1.5898 4.1178 8.6748
P 4.0691 8.4666 3.0325
P 3.4784 5.1451 6.4509
P 4.9691 2.7914 5.3295
P 4.1935 -0.3279 8.5988
P 6.3789 4.2645 3.0703
P 7.4466 -1.6891 5.2706
O -1.8715 7.3565 1.8564
O -2.2535 4.9540 3.8274
O -0.1981 -1.0671 1.9684
O -1.2155 -1.3002 4.2736
O -1.7561 -2.6732 6.1637
O -2.7094 5.1510 6.3286
O -2.9057 -3.1175 9.1637
O 0.2892 3.9113 0.9608
O -3.8815 5.0190 9.2557
O 0.0434 8.4796 0.7638
O -0.1218 0.9236 3.5945
O -1.9767 -0.3384 8.7160
O -2.4518 2.8355 8.9051
O -0.7076 3.8276 5.4081
O -0.7213 6.3562 5.2157
O -0.0442 8.3665 3.3257
O -0.7990 1.6891 6.7940
O 0.7650 5.3989 2.7857
O -0.1218 -3.8003 8.2697
O 1.9906 3.0867 2.7831
O 2.5713 0.1498 2.5392
O 2.6990 4.9338 1.2697
O 2.3198 9.6943 0.8218
O 1.7555 -0.4860 5.3373
O 1.0249 -1.7185 7.3458
O 0.0186 -1.6567 9.6495
O 1.4178 2.5494 5.7923
O 0.3282 3.7909 7.7094
O -0.0010 0.8736 9.8417
O 2.9510 -2.6773 5.9603
O 3.0812 7.3445 3.2555
O 4.8221 0.9370 1.5465
O 2.5838 5.3540 5.2575
O 4.7287 -1.0815 3.1353
O 2.1188 -2.9749 9.2537
O 1.0581 5.0312 9.7198
O 4.0931 1.6921 4.7680
O 4.8986 8.3512 1.7859
O 3.3651 -0.5108 7.2254
O 2.2481 2.8298 9.1115
O 2.6458 4.9915 7.8212
O 5.6930 5.3995 2.3319
O 4.1373 3.6670 6.3713
O 5.2395 3.9198 4.1731
O 3.2807 -0.1123 9.7808
O 4.9787 8.4874 4.3513
O 6.9151 3.0834 2.3462
O 4.5161 6.1847 6.7301
O 7.5320 0.1468 2.5640
O 4.8620 -1.7991 8.7081
O 9.0419 1.6915 0.3536
O 5.2240 0.7127 8.3065
O 6.2711 2.3477 5.9059
O 6.7160 -0.4937 5.8104
```

x takes first place; second place is 0.022 eV/atom up.

w.
Material: NaNi2H3S2O10
Method: DFT, GGA+U
State: relaxed

Total magnetization: 4.00 μB per formula unit

```
18
Lattice="5.7577 -3.0476 0.0000 5.7577 3.0476 0.0000 -2.0072 0.0000 6.7659" Properties=species:S:1:pos:R:3 pbc="T T T"
Na 0.0000 0.0000 0.0000
Ni 7.5407 1.5682 3.3468
Ni 7.5407 -1.5682 3.3468
H 3.7219 0.0000 3.5052
H 5.7062 0.0000 3.2575
H 10.0516 0.0000 3.2741
S 4.2038 0.0000 1.0599
S 5.2121 0.0000 5.6750
O 0.3746 0.0000 3.2304
O 1.1362 0.0000 4.5401
O 5.0032 1.2123 1.3060
O 4.4143 1.2118 5.4181
O 3.1063 0.0000 2.7385
O 6.3323 0.0000 4.0100
O 5.0032 -1.2123 1.3060
O 4.4143 -1.2118 5.4181
O 8.2705 0.0000 2.2190
O 9.0630 0.0000 3.5105
```

x.
Material: NaNi2H3S2O10
Method: DFT, GGA+U
State: relaxed

Total magnetization: 4.00 μB per formula unit

```
18
Lattice="4.3405 -3.1362 0.0000 4.3405 3.1362 0.0000 -3.1690 0.0000 6.6970" Properties=species:S:1:pos:R:3 pbc="T T T"
Na 0.0000 0.0000 0.0000
Ni 0.5973 1.5731 3.3452
Ni 0.5973 -1.5731 3.3452
H -1.5392 0.0000 3.3920
H -0.6193 0.0000 4.9202
H 6.1759 0.0000 1.8146
S 2.8807 0.0000 1.3887
S 2.6374 0.0000 5.3096
O -0.5050 0.0000 3.9382
O 2.4236 0.0000 0.0009
O 1.8463 1.2320 5.0079
O 1.6220 0.0000 2.2711
O 3.6780 1.2271 1.6894
O 1.8463 -1.2320 5.0079
O 3.8868 0.0000 4.4172
O 3.6780 -1.2271 1.6894
O 6.2571 0.0000 0.0021
O 6.0526 0.0000 2.7922
```

x takes first place; second place is 0.529 eV/atom up.